# 1
This record from the Materials Project describes a geometry-optimized Cr7FeO12 structure. The functional is GGA+U.

Cell: 9.091 10.426 10.596 Å, 102.50 90.12 90.65°
Fractional positions:
Cr 0.000 0.000 0.000
Cr 0.000 0.299 0.210
Cr 0.050 0.586 0.262
Cr 0.056 0.703 0.729
Cr 0.099 0.395 0.492
Cr 0.120 0.980 0.748
Cr 0.122 0.048 0.468
Cr 0.149 0.510 0.984
Cr 0.169 0.854 0.221
Cr 0.193 0.233 0.728
Cr 0.219 0.714 0.507
Cr 0.289 0.162 0.209
Cr 0.319 0.526 0.759
Cr 0.360 0.418 0.324
Cr 0.377 0.109 0.952
Cr 0.448 0.815 0.710
Cr 0.471 0.360 0.962
Cr 0.503 0.998 0.279
Cr 0.570 0.620 0.955
Cr 0.617 0.834 0.472
Cr 0.627 0.324 0.658
Cr 0.657 0.056 0.789
Cr 0.669 0.121 0.095
Cr 0.706 0.550 0.264
Cr 0.751 0.100 0.467
Cr 0.762 0.810 0.824
Cr 0.768 0.357 0.977
Cr 0.856 0.584 0.528
Fe 0.415 0.198 0.511
Fe 0.789 0.860 0.249
Fe 0.925 0.473 0.775
Fe 0.940 0.690 0.034
O 0.003 0.705 0.545
O 0.036 0.159 0.786
O 0.077 0.131 0.141
O 0.098 0.429 0.137
O 0.102 0.661 0.895
O 0.137 0.848 0.396
O 0.144 0.671 0.135
O 0.147 0.413 0.798
O 0.178 0.309 0.325
O 0.186 0.249 0.555
O 0.192 0.010 0.924
O 0.195 0.559 0.613
O 0.226 0.811 0.698
O 0.229 0.569 0.359
O 0.237 0.049 0.626
O 0.279 0.012 0.297
O 0.352 0.275 0.082
O 0.353 0.230 0.833
O 0.369 0.520 0.945
O 0.429 0.765 0.534
O 0.431 0.383 0.652
O 0.443 0.233 0.331
O 0.459 0.042 0.103
O 0.467 0.975 0.820
O 0.478 0.679 0.791
O 0.532 0.488 0.306
O 0.538 0.025 0.466
O 0.578 0.817 0.277
O 0.606 0.205 0.948
O 0.633 0.482 0.075
O 0.652 0.412 0.838
O 0.662 0.869 0.676
O 0.682 0.279 0.491
O 0.709 0.652 0.448
O 0.713 0.040 0.247
O 0.717 0.150 0.666
O 0.752 0.737 0.978
O 0.758 0.998 0.947
O 0.805 0.907 0.432
O 0.821 0.263 0.112
O 0.837 0.644 0.721
O 0.859 0.670 0.209
O 0.920 0.435 0.586
O 0.922 0.477 0.350
O 0.923 0.492 0.966
O 0.956 0.130 0.437
O 0.966 0.873 0.821
O 0.984 0.881 0.128

Summary:
As for the energy above the most stable polymorph in this dataset: 0.0089 eV/atom.

***

# 2
This record from the Materials Project describes a geometry-optimized Pr2MgMn2Ge2O10 structure. The functional is GGA+U.

Cell: 6.047 6.550 6.929 Å, 103.01 104.98 97.31°
Fractional positions:
Pr 0.000 0.000 0.000
Pr 0.347 0.568 0.507
Mg 0.747 0.485 0.034
Mn 0.482 0.098 0.684
Mn 0.592 0.132 0.251
Ge 0.250 0.587 0.019
Ge 0.910 0.836 0.484
O 0.178 0.914 0.693
O 0.244 0.366 0.131
O 0.346 0.837 0.214
O 0.446 0.554 0.869
O 0.501 0.280 0.497
O 0.685 0.175 0.989
O 0.697 0.855 0.625
O 0.894 0.000 0.313
O 0.908 0.574 0.343
O 0.961 0.608 0.899

Summary:
As for the energy above the most stable polymorph in this dataset: 0.0329 eV/atom.

***

# 3
This record from the Materials Project describes a geometry-optimized Li3V3P8O29 structure. The functional is GGA+U.

Cell: 9.740 9.768 14.262 Å, 90.11 90.25 119.74°
Fractional positions:
Li 0.000 0.000 0.000
Li 0.013 0.547 0.505
Li 0.600 0.126 0.003
Li 0.819 0.889 0.396
Li 0.836 0.438 0.890
Li 0.914 0.216 0.456
V 0.350 0.216 0.691
V 0.353 0.649 0.196
V 0.476 0.781 0.701
V 0.478 0.218 0.209
V 0.916 0.781 0.198
V 0.918 0.653 0.699
P 0.008 0.531 0.287
P 0.010 0.992 0.787
P 0.133 0.132 0.293
P 0.144 0.527 0.796
P 0.220 0.441 0.610
P 0.230 0.301 0.109
P 0.247 0.879 0.580
P 0.252 0.887 0.083
P 0.583 0.546 0.815
P 0.586 0.556 0.317
P 0.599 0.130 0.787
P 0.609 0.989 0.289
P 0.687 0.903 0.105
P 0.698 0.302 0.605
P 0.821 0.441 0.109
P 0.822 0.901 0.610
O 0.007 0.689 0.271
O 0.018 0.838 0.766
O 0.098 0.883 0.124
O 0.099 0.725 0.622
O 0.111 0.205 0.378
O 0.117 0.425 0.528
O 0.118 0.215 0.199
O 0.122 0.419 0.705
O 0.146 0.451 0.884
O 0.151 0.211 0.023
O 0.178 0.135 0.777
O 0.178 0.562 0.277
O 0.238 0.867 0.477
O 0.244 0.027 0.621
O 0.248 0.889 0.979
O 0.257 0.743 0.127
O 0.261 0.306 0.613
O 0.261 0.472 0.115
O 0.295 0.135 0.282
O 0.297 0.688 0.774
O 0.375 0.601 0.619
O 0.389 0.306 0.132
O 0.394 0.883 0.627
O 0.397 0.036 0.127
O 0.438 0.549 0.270
O 0.440 0.123 0.767
O 0.444 0.398 0.765
O 0.454 0.830 0.278
O 0.535 0.293 0.614
O 0.535 0.743 0.123
O 0.568 0.125 0.283
O 0.572 0.961 0.783
O 0.575 0.689 0.771
O 0.589 0.406 0.276
O 0.589 0.541 0.918
O 0.595 0.566 0.420
O 0.651 0.867 0.620
O 0.653 0.295 0.115
O 0.672 0.215 0.878
O 0.680 0.987 0.020
O 0.710 0.006 0.372
O 0.711 0.010 0.196
O 0.716 0.226 0.703
O 0.727 0.226 0.524
O 0.734 0.709 0.275
O 0.738 0.551 0.773
O 0.813 0.595 0.131
O 0.825 0.744 0.625
O 0.833 0.877 0.107
O 0.834 0.478 0.612
O 0.895 0.981 0.520
O 0.900 0.455 0.019
O 0.914 0.423 0.198
O 0.915 0.010 0.699
O 0.929 0.978 0.876
O 0.935 0.455 0.378
O 0.997 0.956 0.284
O 0.999 0.556 0.787

Summary:
As for the energy above the most stable polymorph in this dataset: 0.0123 eV/atom.

***

# 4
This record from the Materials Project describes a geometry-optimized AlWO3 structure. The functional is GGA+U.

Cell: 3.369 3.369 12.217 Å, 90.00 90.00 120.00°
Fractional positions:
Al 0.000 0.000 0.000
Al 0.000 0.000 0.500
W 0.333 0.667 0.250
W 0.667 0.333 0.750
O 0.000 0.000 0.250
O 0.000 0.000 0.750
O 0.333 0.667 0.072
O 0.333 0.667 0.428
O 0.667 0.333 0.572
O 0.667 0.333 0.928

Summary:
Its total DFT energy (no corrections) is -6.90 eV per atom.

***

# 5
This record from the Materials Project describes a geometry-optimized NiC4O6 structure. The functional is GGA+U.

Cell: 7.644 7.644 7.282 Å, 118.37 118.37 57.03°
Fractional positions:
Ni 0.000 0.500 0.000
Ni 0.500 0.000 0.500
C 0.025 0.259 0.566
C 0.082 0.833 0.656
C 0.167 0.918 0.844
C 0.259 0.025 0.066
C 0.741 0.975 0.934
C 0.833 0.082 0.156
C 0.918 0.167 0.344
C 0.975 0.741 0.434
O 0.090 0.648 0.305
O 0.207 0.521 0.975
O 0.214 0.245 0.617
O 0.245 0.214 0.117
O 0.352 0.910 0.195
O 0.479 0.793 0.525
O 0.521 0.207 0.475
O 0.648 0.090 0.805
O 0.755 0.786 0.883
O 0.786 0.755 0.383
O 0.793 0.479 0.025
O 0.910 0.352 0.695

Summary:
Its total DFT energy (no corrections) is -6.35 eV per atom.

***

# 6
This record from the Materials Project describes a geometry-optimized Li3Co2Ni3O10 structure. The functional is GGA+U.

Cell: 5.842 2.874 20.680 Å, 90.00 97.56 90.00°
Fractional positions:
Li 0.100 0.000 0.200
Li 0.110 0.500 0.695
Li 0.312 0.500 0.096
Li 0.688 0.500 0.904
Li 0.890 0.500 0.305
Li 0.900 0.000 0.800
Co 0.000 0.000 0.000
Co 0.000 0.500 0.500
Co 0.210 0.000 0.403
Co 0.790 0.000 0.597
Ni 0.208 0.500 0.902
Ni 0.399 0.000 0.799
Ni 0.405 0.500 0.302
Ni 0.595 0.500 0.698
Ni 0.601 0.000 0.201
Ni 0.792 0.500 0.098
O 0.006 0.500 0.596
O 0.027 0.000 0.092
O 0.167 0.500 0.800
O 0.171 0.000 0.310
O 0.213 0.000 0.494
O 0.213 0.500 0.001
O 0.367 0.500 0.201
O 0.368 0.000 0.708
O 0.414 0.500 0.400
O 0.431 0.000 0.891
O 0.569 0.000 0.109
O 0.586 0.500 0.600
O 0.632 0.000 0.292
O 0.633 0.500 0.799
O 0.787 0.000 0.506
O 0.787 0.500 0.999
O 0.829 0.000 0.690
O 0.833 0.500 0.200
O 0.973 0.000 0.908
O 0.994 0.500 0.404

Summary:
Its total DFT energy (no corrections) is -5.17 eV per atom.

***

# 7
This record from the Materials Project describes a geometry-optimized LiZn2Fe4O8 structure. The functional is GGA+U.

Cell: 6.222 6.222 6.222 Å, 122.47 120.98 87.04°
Fractional positions:
Li 0.000 0.000 0.000
Zn 0.806 0.076 0.270
Zn 0.806 0.536 0.730
Fe 0.269 0.269 0.000
Fe 0.326 0.591 0.735
Fe 0.449 0.949 0.500
Fe 0.856 0.591 0.265
O 0.065 0.836 0.229
O 0.091 0.371 0.721
O 0.110 0.378 0.268
O 0.110 0.843 0.732
O 0.582 0.346 0.764
O 0.582 0.818 0.236
O 0.607 0.836 0.771
O 0.650 0.371 0.279

Summary:
As for the energy above the most stable polymorph in this dataset: 0.0000 eV/atom.

***

# 8
This record from the Materials Project describes a geometry-optimized Li5Mn5O9F structure. The functional is GGA+U.

Cell: 5.222 5.361 7.893 Å, 105.69 104.53 101.64°
Fractional positions:
Li 0.000 0.000 0.000
Li 0.190 0.409 0.403
Li 0.387 0.775 0.784
Li 0.584 0.219 0.208
Li 0.790 0.599 0.607
Mn 0.092 0.199 0.698
Mn 0.274 0.597 0.103
Mn 0.497 0.992 0.497
Mn 0.685 0.386 0.898
Mn 0.893 0.790 0.306
O 0.023 0.596 0.870
O 0.178 0.815 0.555
O 0.260 0.966 0.249
O 0.338 0.248 0.949
O 0.434 0.394 0.667
O 0.518 0.588 0.328
O 0.756 0.005 0.733
O 0.838 0.189 0.463
O 0.908 0.393 0.135
F 0.639 0.826 0.037

Summary:
The value obtained for the piezoelectric modulus e_max is 0.67 C/m2. Its total DFT energy (no corrections) is -6.53 eV per atom.

***

# 9
This record from the Materials Project describes a geometry-optimized KLaW2O8 structure. The functional is GGA+U.

Cell: 7.208 7.208 7.208 Å, 134.73 134.73 65.94°
Fractional positions:
K 0.000 0.000 0.000
La 0.750 0.250 0.500
W 0.250 0.750 0.500
W 0.500 0.500 0.000
O 0.019 0.908 0.584
O 0.092 0.675 0.111
O 0.174 0.289 0.638
O 0.325 0.436 0.416
O 0.464 0.826 0.115
O 0.564 0.981 0.889
O 0.651 0.536 0.362
O 0.711 0.349 0.885

Summary:
Its total DFT energy (no corrections) is -7.39 eV per atom.

***

# 10
This record from the Materials Project describes a geometry-optimized FeBiO3 structure. The functional is GGA+U.

Cell: 5.634 5.553 7.876 Å, 90.00 90.00 88.13°
Fractional positions:
O 0.243 0.720 0.250
O 0.000 0.500 0.000
O 0.205 0.197 0.250
Bi 0.500 0.500 0.000
O 0.795 0.803 0.750
O 0.757 0.280 0.750
O 0.500 0.000 0.000
O 0.705 0.697 0.250
Fe 0.510 0.016 0.750
Bi 0.000 0.000 0.500
O 0.257 0.780 0.750
O 0.743 0.220 0.250
Bi 0.000 0.000 0.000
Fe 0.490 0.984 0.250
O 0.295 0.303 0.750
O 0.000 0.500 0.500
Fe 0.990 0.484 0.250
Bi 0.500 0.500 0.500
O 0.500 0.000 0.500
Fe 0.010 0.516 0.750

Summary:
Its total DFT energy (no corrections) is -6.00 eV per atom.

***

# 11
This record from the Materials Project describes a geometry-optimized Li2VF6 structure. The functional is GGA+U.

Cell: 4.947 4.947 4.505 Å, 90.00 90.00 120.00°
Fractional positions:
Li 0.333 0.667 0.000
Li 0.667 0.333 0.000
V 0.000 0.000 0.500
F 0.000 0.313 0.253
F 0.000 0.687 0.747
F 0.313 0.000 0.253
F 0.313 0.313 0.747
F 0.687 0.000 0.747
F 0.687 0.687 0.253

Summary:
As for the energy above the most stable polymorph in this dataset: 0.0209 eV/atom.

***

# 12
This record from the Materials Project describes a geometry-optimized Sr4LiMn2Ga2O10 structure. The functional is GGA+U.

Cell: 5.820 5.826 9.022 Å, 107.36 107.11 94.24°
Fractional positions:
Sr 0.000 0.000 0.000
Sr 0.209 0.211 0.422
Sr 0.425 0.553 0.999
Sr 0.643 0.774 0.422
Li 0.669 0.232 0.901
Mn 0.059 0.628 0.213
Mn 0.576 0.140 0.205
Ga 0.227 0.800 0.685
Ga 0.886 0.448 0.690
O 0.225 0.472 0.695
O 0.229 0.803 0.482
O 0.316 0.881 0.192
O 0.333 0.372 0.208
O 0.419 0.010 0.887
O 0.677 0.237 0.494
O 0.789 0.351 0.156
O 0.803 0.894 0.202
O 0.895 0.785 0.695
O 0.907 0.456 0.900

Summary:
As for the energy above the most stable polymorph in this dataset: 0.0640 eV/atom.